1.
First-principles (PBE) data for an optimized crystal structure of TiCoN2, as listed in the Materials Project.

## Properties
Total moment = 3.5 μB per cell
E_form = -0.877 eV per atom

a = 5.753 Å, b = 4.121 Å, c = 6.838 Å
α = 90.00°, β = 90.00°, γ = 90.00°
Fractional coordinates of all 16 atoms:
Ti (0.115, 0.250, 0.122)
Ti (0.385, 0.750, 0.622)
Ti (0.615, 0.250, 0.378)
Ti (0.885, 0.750, 0.878)
Co (0.063, 0.250, 0.656)
Co (0.437, 0.750, 0.156)
Co (0.563, 0.250, 0.844)
Co (0.937, 0.750, 0.344)
N (0.041, 0.750, 0.622)
N (0.106, 0.750, 0.104)
N (0.394, 0.250, 0.604)
N (0.459, 0.250, 0.122)
N (0.541, 0.750, 0.878)
N (0.606, 0.750, 0.396)
N (0.894, 0.250, 0.896)
N (0.959, 0.250, 0.378)

=====

2.
First-principles (PBE) data for an optimized crystal structure of TiCoN2, as listed in the Materials Project.

## Properties
Total moment = 0.1 μB per cell
E_form = -0.703 eV per atom

a = 2.947 Å, b = 2.947 Å, c = 9.420 Å
α = 90.00°, β = 90.00°, γ = 120.00°
Fractional coordinates of all 8 atoms:
Ti (0.333, 0.667, 0.250)
Ti (0.667, 0.333, 0.750)
Co (0.000, 0.000, 0.000)
Co (0.000, 0.000, 0.500)
N (0.333, 0.667, 0.617)
N (0.333, 0.667, 0.883)
N (0.667, 0.333, 0.117)
N (0.667, 0.333, 0.383)